Entry 1:
First-principles (PBE-GGA) data for an optimized crystal structure of TlF3, as listed in Materials Project.

Unit cell a=5.0361 b=5.9098 c=7.2702 alpha=90.00 beta=90.00 gamma=90.00
Last column: nearest neighbours and their distance in Å.
Fractional positions:
Tl  0.0392  0.3706  0.2500  6 F 2.16-2.33
Tl  0.4608  0.8706  0.2500  6 F 2.16-2.33
Tl  0.9608  0.6294  0.7500  6 F 2.16-2.33
Tl  0.5392  0.1294  0.7500  6 F 2.16-2.33
F  0.1428  0.9598  0.7500  2 Tl 2.16-2.23
F  0.1692  0.6581  0.0703  2 Tl 2.24-2.33
F  0.6692  0.8419  0.9297  2 Tl 2.24-2.33
F  0.3308  0.1581  0.0703  2 Tl 2.24-2.33
F  0.8308  0.3419  0.5703  2 Tl 2.24-2.33
F  0.6692  0.8419  0.5703  2 Tl 2.24-2.33
F  0.3308  0.1581  0.4297  2 Tl 2.24-2.33
F  0.8308  0.3419  0.9297  2 Tl 2.24-2.33
F  0.1692  0.6581  0.4297  2 Tl 2.24-2.33
F  0.8572  0.0402  0.2500  2 Tl 2.16-2.23
F  0.6428  0.5402  0.2500  2 Tl 2.16-2.23
F  0.3572  0.4598  0.7500  2 Tl 2.16-2.23

Computed properties:
The calculation puts the formation energy at -202.4 kJ/mol of atoms.


Entry 2:
First-principles (PBE-GGA) data for an optimized crystal structure of CaPd3O4, as listed in Materials Project.

Unit cell a=5.8389 b=5.8389 c=5.8389 alpha=90.00 beta=90.00 gamma=90.00
Last column: nearest neighbours and their distance in Å.
Fractional positions:
Pd  0.0000  0.5000  0.7500  4 O 2.06
Pd  0.7500  0.0000  0.5000  4 O 2.06
Pd  0.2500  0.0000  0.5000  4 O 2.06
Pd  0.0000  0.5000  0.2500  4 O 2.06
Pd  0.5000  0.7500  0.0000  4 O 2.06
Pd  0.5000  0.2500  0.0000  4 O 2.06
O  0.7500  0.7500  0.7500  3 Pd 2.06
O  0.2500  0.2500  0.2500  3 Pd 2.06
O  0.2500  0.7500  0.2500  3 Pd 2.06
O  0.2500  0.7500  0.7500  3 Pd 2.06
O  0.2500  0.2500  0.7500  3 Pd 2.06
O  0.7500  0.7500  0.2500  3 Pd 2.06
O  0.7500  0.2500  0.2500  3 Pd 2.06
O  0.7500  0.2500  0.7500  3 Pd 2.06
Ca  0.0000  0.0000  0.0000  8 O 2.53
Ca  0.5000  0.5000  0.5000  8 O 2.53

Computed properties:
The calculation puts the formation energy at -146.1 kJ/mol of atoms.


Entry 3:
First-principles (PBE-GGA) data for an optimized crystal structure of Cu2GeP2H10O14, as listed in Materials Project.

Unit cell a=8.6944 b=5.1409 c=13.4899 alpha=68.17 beta=90.00 gamma=90.00
Last column: nearest neighbours and their distance in Å.
Fractional positions:
P  0.6696  0.1015  0.4001  4 O 1.54-1.57
P  0.1696  0.8985  0.0999  4 O 1.54-1.57
P  0.3304  0.8985  0.5999  4 O 1.54-1.57
P  0.8304  0.1015  0.9001  4 O 1.54-1.57
O  0.9369  0.5995  0.3873  2 H 0.99-1.00
O  0.8522  0.7934  0.9809  1 P 1.57
O  0.6671  0.1193  0.8527  1 P 1.55, 1 H 1.70
O  0.6672  0.2990  0.4648  1 P 1.57
O  0.5684  0.3464  0.6425  1 H 1.00
O  0.8328  0.2990  0.9648  1 P 1.57
O  0.0631  0.4005  0.6127  2 H 0.99-1.00
O  0.3522  0.2066  0.5191  1 P 1.57
O  0.8329  0.1193  0.3527  1 P 1.55, 1 H 1.70
O  0.1671  0.8807  0.6473  1 P 1.55, 1 H 1.70
O  0.8143  0.7501  0.6713  2 H 0.97-0.98
O  0.9601  0.1696  0.8166  1 P 1.54, 1 H 1.70
O  0.5631  0.5995  0.8873  2 H 0.99-1.00
O  0.4601  0.8304  0.6834  1 P 1.54, 1 H 1.70
O  0.3329  0.8807  0.1473  1 P 1.55, 1 H 1.70
O  0.1672  0.7010  0.0352  1 P 1.57
O  0.3328  0.7010  0.5352  1 P 1.57
O  0.9316  0.3464  0.1425  1 H 1.00
O  0.4316  0.6536  0.3575  1 H 1.00
O  0.3143  0.2499  0.8287  2 H 0.97-0.98
O  0.1857  0.2499  0.3287  2 H 0.97-0.98
O  0.1478  0.2066  0.0191  1 P 1.57
O  0.6857  0.7501  0.1713  2 H 0.97-0.98
O  0.5399  0.1696  0.3166  1 P 1.54, 1 H 1.70
O  0.4369  0.4005  0.1127  2 H 0.99-1.00
O  0.0684  0.6536  0.8575  1 H 1.00
O  0.0399  0.8304  0.1834  1 P 1.54, 1 H 1.70
O  0.6478  0.7934  0.4809  1 P 1.57
H  0.7726  0.6964  0.6139  1 O 0.98
H  0.5429  0.1426  0.6687  1 O 1.00
H  0.8534  0.4926  0.4347  1 O 0.99
H  0.1466  0.5074  0.5653  1 O 0.99
H  0.6945  0.9534  0.1428  1 O 0.97
H  0.4571  0.8574  0.3313  1 O 1.00
H  0.1945  0.0466  0.3572  1 O 0.97
H  0.9571  0.1426  0.1687  1 O 1.00
H  0.4054  0.1994  0.1330  1 O 1.00
H  0.8055  0.9534  0.6428  1 O 0.97
H  0.9054  0.8006  0.3670  1 O 1.00
H  0.2726  0.3036  0.8861  1 O 0.98
H  0.0946  0.1994  0.6330  1 O 1.00
H  0.5946  0.8006  0.8670  1 O 1.00
H  0.6466  0.4926  0.9347  1 O 0.99
H  0.7274  0.6964  0.1139  1 O 0.98
H  0.2274  0.3036  0.3861  1 O 0.98
H  0.0429  0.8574  0.8313  1 O 1.00
H  0.3534  0.5074  0.0653  1 O 0.99
H  0.3055  0.0466  0.8572  1 O 0.97
Cu  0.4446  0.5318  0.2341  4 O 1.96-1.99
Cu  0.0554  0.5318  0.7341  4 O 1.96-1.99
Cu  0.9446  0.4682  0.2659  4 O 1.96-1.99
Cu  0.5554  0.4682  0.7659  4 O 1.96-1.99
Ge  0.5000  0.5000  0.5000  6 O 1.88-1.94
Ge  0.0000  0.5000  0.0000  6 O 1.88-1.94

Computed properties:
The energy above the lowest structure with this stoichiometry comes out at 0.00 kcal/mol of atoms. The calculation puts the formation energy at -158.4 kJ/mol of atoms.


Entry 4:
First-principles (PBE-GGA) data for an optimized crystal structure of K3N, as listed in Materials Project.

Unit cell a=7.7492 b=7.7492 c=7.2062 alpha=90.00 beta=90.00 gamma=120.00
Last column: nearest neighbours and their distance in Å.
Fractional positions:
N  0.0000  0.0000  0.5000  6 K 2.73
N  0.0000  0.0000  0.0000  6 K 2.73
K  0.0000  0.2644  0.2500  2 N 2.73
K  0.7356  0.0000  0.7500  2 N 2.73
K  0.2644  0.0000  0.2500  2 N 2.73
K  0.0000  0.7356  0.7500  2 N 2.73
K  0.2644  0.2644  0.7500  2 N 2.73
K  0.7356  0.7356  0.2500  2 N 2.73

Computed properties:
The calculation puts the formation energy at 38.1 kJ/mol of atoms.


Entry 5:
First-principles (PBE-GGA) data for an optimized crystal structure of NbWN3, as listed in Materials Project.

Unit cell a=3.8837 b=5.5137 c=6.8722 alpha=90.77 beta=90.03 gamma=110.57
Last column: nearest neighbours and their distance in Å.
Fractional positions:
N  0.4502  0.4024  0.7879  1 Nb 1.93, 2 W 1.96-2.12
N  0.7092  0.9175  0.6376  3 Nb 2.09-2.12, 1 W 2.19
N  0.5498  0.5976  0.2121  1 Nb 1.93, 2 W 1.96-2.12
N  0.1766  0.8523  0.9369  2 W 2.03, 1 Nb 2.14
N  0.2908  0.0825  0.3624  3 Nb 2.09-2.12, 1 W 2.19
N  0.8234  0.1477  0.0631  2 W 2.03, 1 Nb 2.14
Nb  0.7194  0.9392  0.3305  5 N 1.93-2.14
Nb  0.2806  0.0608  0.6695  5 N 1.93-2.14
W  0.6197  0.7378  0.9244  5 N 1.96-2.19
W  0.3803  0.2622  0.0756  5 N 1.96-2.19

Computed properties:
The calculation puts the formation energy at -72.5 kJ/mol of atoms.


Entry 6:
First-principles (PBE-GGA) data for an optimized crystal structure of TbAl3C3, as listed in Materials Project.

Unit cell a=3.4423 b=3.4423 c=17.3895 alpha=90.00 beta=90.00 gamma=120.00
Last column: nearest neighbours and their distance in Å.
Fractional positions:
Al  0.3333  0.6667  0.3660  4 C 2.02-2.11
Al  0.6667  0.3333  0.6340  4 C 2.02-2.11
Al  0.6667  0.3333  0.2500  3 C 1.99
Al  0.3333  0.6667  0.7500  3 C 1.99
Al  0.3333  0.6667  0.1340  4 C 2.02-2.11
Al  0.6667  0.3333  0.8660  4 C 2.02-2.11
C  0.6667  0.3333  0.7500  5 Al 1.99-2.02
C  0.6667  0.3333  0.4063  3 Al 2.11
C  0.3333  0.6667  0.2500  5 Al 1.99-2.02
C  0.3333  0.6667  0.9063  3 Al 2.11
C  0.6667  0.3333  0.0937  3 Al 2.11
C  0.3333  0.6667  0.5937  3 Al 2.11
Tb  0.0000  0.0000  0.5000  6 C 2.57
Tb  0.0000  0.0000  0.0000  6 C 2.57

Computed properties:
The calculation puts the formation energy at -26.7 kJ/mol of atoms.


| no. | theoretical density (g cm⁻³) | E_tot (eV per atom) |
| --- | --- | --- |
| 1 | 8.02 | -3.778 |
| 2 | 7.06 | -5.838 |
| 3 | 2.94 | -5.684 |
| 4 | 1.16 | -2.432 |
| 5 | 7.68 | -10.149 |
| 6 | 5.13 | -6.499 |